(1)
Entry from Materials Project: crystalline Li6Bi3P8O29 at its relaxed geometry (PBE).

Cell: 10.368 10.368 14.283 Å, 90.55 90.55 59.90°
Fractional coordinates of all 92 atoms:
Li  0.000  0.000  0.000
Li  0.000  0.000  0.500
Li  0.022  0.556  0.438
Li  0.027  0.427  0.929
Li  0.120  0.248  0.319
Li  0.248  0.120  0.819
Li  0.248  0.647  0.321
Li  0.418  0.547  0.931
Li  0.427  0.027  0.429
Li  0.547  0.418  0.431
Li  0.556  0.022  0.938
Li  0.647  0.248  0.821
Bi  0.343  0.765  0.127
Bi  0.344  0.903  0.630
Bi  0.765  0.343  0.627
Bi  0.768  0.906  0.136
Bi  0.903  0.344  0.130
Bi  0.906  0.768  0.636
P  0.005  0.012  0.765
P  0.012  0.005  0.265
P  0.029  0.418  0.717
P  0.031  0.568  0.226
P  0.108  0.244  0.531
P  0.108  0.652  0.039
P  0.244  0.108  0.031
P  0.247  0.655  0.534
P  0.418  0.029  0.217
P  0.420  0.566  0.721
P  0.566  0.420  0.221
P  0.568  0.031  0.726
P  0.652  0.108  0.539
P  0.655  0.247  0.034
P  0.669  0.672  0.985
P  0.672  0.669  0.485
O  0.003  0.007  0.871
O  0.007  0.003  0.371
O  0.021  0.868  0.720
O  0.026  0.144  0.235
O  0.044  0.558  0.721
O  0.046  0.411  0.225
O  0.076  0.345  0.448
O  0.079  0.568  0.966
O  0.094  0.591  0.316
O  0.097  0.326  0.804
O  0.099  0.259  0.021
O  0.100  0.651  0.528
O  0.122  0.323  0.625
O  0.129  0.574  0.141
O  0.144  0.026  0.735
O  0.154  0.854  0.235
O  0.198  0.987  0.048
O  0.205  0.820  0.548
O  0.259  0.099  0.521
O  0.260  0.646  0.025
O  0.323  0.122  0.125
O  0.326  0.097  0.304
O  0.332  0.562  0.626
O  0.332  0.584  0.807
O  0.343  0.582  0.449
O  0.345  0.076  0.948
O  0.411  0.046  0.725
O  0.411  0.566  0.224
O  0.464  0.685  0.704
O  0.466  0.864  0.200
O  0.531  0.660  0.016
O  0.531  0.818  0.518
O  0.558  0.044  0.221
O  0.562  0.332  0.126
O  0.566  0.411  0.724
O  0.568  0.079  0.466
O  0.574  0.129  0.641
O  0.582  0.343  0.949
O  0.584  0.332  0.307
O  0.591  0.094  0.816
O  0.646  0.260  0.525
O  0.651  0.100  0.028
O  0.659  0.821  0.021
O  0.660  0.531  0.516
O  0.672  0.672  0.378
O  0.672  0.672  0.878
O  0.683  0.866  0.706
O  0.685  0.464  0.204
O  0.818  0.531  0.018
O  0.820  0.205  0.048
O  0.820  0.988  0.551
O  0.821  0.659  0.521
O  0.854  0.154  0.735
O  0.864  0.466  0.700
O  0.866  0.683  0.206
O  0.868  0.021  0.220
O  0.987  0.198  0.548
O  0.988  0.820  0.051

Properties
The space group is No. 9. Its crystal system is monoclinic. For the formation energy from the elements, the calculation gives -2.449 eV per atom. As for the total magnetic moment: 0.03 μB per cell.



(2)
Entry from Materials Project: crystalline Tl2PS3 at its relaxed geometry (PBE).

Cell: 11.728 16.758 13.896 Å, 90.00 90.00 90.00°
Fractional coordinates of all 96 atoms:
Tl  0.070  0.191  0.062
Tl  0.070  0.309  0.562
Tl  0.100  0.045  0.838
Tl  0.100  0.455  0.338
Tl  0.111  0.564  0.061
Tl  0.111  0.936  0.561
Tl  0.164  0.697  0.749
Tl  0.164  0.803  0.249
Tl  0.336  0.197  0.749
Tl  0.336  0.303  0.249
Tl  0.389  0.064  0.061
Tl  0.389  0.436  0.561
Tl  0.400  0.545  0.838
Tl  0.400  0.955  0.338
Tl  0.430  0.691  0.062
Tl  0.430  0.809  0.562
Tl  0.570  0.191  0.438
Tl  0.570  0.309  0.938
Tl  0.600  0.045  0.662
Tl  0.600  0.455  0.162
Tl  0.611  0.564  0.439
Tl  0.611  0.936  0.939
Tl  0.664  0.697  0.751
Tl  0.664  0.803  0.251
Tl  0.836  0.197  0.751
Tl  0.836  0.303  0.251
Tl  0.889  0.064  0.439
Tl  0.889  0.436  0.939
Tl  0.900  0.545  0.662
Tl  0.900  0.955  0.162
Tl  0.930  0.691  0.438
Tl  0.930  0.809  0.938
P  0.208  0.123  0.351
P  0.208  0.377  0.851
P  0.244  0.630  0.510
P  0.244  0.870  0.010
P  0.256  0.130  0.510
P  0.256  0.370  0.010
P  0.292  0.623  0.351
P  0.292  0.877  0.851
P  0.708  0.123  0.149
P  0.708  0.377  0.649
P  0.744  0.630  0.990
P  0.744  0.870  0.490
P  0.756  0.130  0.990
P  0.756  0.370  0.490
P  0.792  0.623  0.149
P  0.792  0.877  0.649
S  0.108  0.125  0.589
S  0.108  0.375  0.089
S  0.115  0.221  0.319
S  0.115  0.279  0.819
S  0.129  0.016  0.336
S  0.129  0.484  0.836
S  0.136  0.625  0.284
S  0.136  0.875  0.784
S  0.142  0.535  0.536
S  0.142  0.965  0.036
S  0.164  0.737  0.529
S  0.164  0.763  0.029
S  0.336  0.237  0.529
S  0.336  0.263  0.029
S  0.358  0.035  0.536
S  0.358  0.465  0.036
S  0.364  0.125  0.284
S  0.364  0.375  0.784
S  0.371  0.516  0.336
S  0.371  0.984  0.836
S  0.385  0.721  0.319
S  0.385  0.779  0.819
S  0.392  0.625  0.589
S  0.392  0.875  0.089
S  0.608  0.125  0.911
S  0.608  0.375  0.411
S  0.615  0.221  0.181
S  0.615  0.279  0.681
S  0.629  0.016  0.164
S  0.629  0.484  0.664
S  0.636  0.625  0.216
S  0.636  0.875  0.716
S  0.642  0.535  0.964
S  0.642  0.965  0.464
S  0.664  0.737  0.971
S  0.664  0.763  0.471
S  0.836  0.237  0.971
S  0.836  0.263  0.471
S  0.858  0.035  0.964
S  0.858  0.465  0.464
S  0.864  0.125  0.216
S  0.864  0.375  0.716
S  0.871  0.516  0.164
S  0.871  0.984  0.664
S  0.885  0.721  0.181
S  0.885  0.779  0.681
S  0.892  0.625  0.911
S  0.892  0.875  0.411

Properties
The space group is No. 61. Its crystal system is orthorhombic. For the formation energy from the elements, the calculation gives -0.654 eV per atom. As for the total magnetic moment: 0.00 μB per cell.



(3)
Entry from Materials Project: crystalline MgSnBiO4 at its relaxed geometry (PBE).

Cell: 5.710 5.710 5.710 Å, 131.55 131.55 70.95°
Fractional coordinates of all 7 atoms:
Mg  0.000  0.000  0.000
Sn  0.250  0.750  0.500
Bi  0.500  0.500  0.000
O  0.010  0.510  0.500
O  0.232  0.232  0.000
O  0.490  0.990  0.500
O  0.768  0.768  0.000

Properties
The space group is No. 119. Its crystal system is tetragonal. As for the offset from the most stable computed form: 0.102 eV/atom. For the formation energy from the elements, the calculation gives -1.759 eV per atom. As for the total magnetic moment: 0.00 μB per cell.



(4)
Entry from Materials Project: crystalline CuHClO at its relaxed geometry (PBE).

Cell: 7.945 6.481 5.967 Å, 90.00 111.48 90.00°
Fractional coordinates of all 16 atoms:
Cu  0.022  0.125  0.318
Cu  0.022  0.375  0.818
Cu  0.978  0.625  0.182
Cu  0.978  0.875  0.682
H  0.494  0.648  0.171
H  0.494  0.852  0.671
H  0.506  0.148  0.329
H  0.506  0.352  0.829
Cl  0.378  0.028  0.193
Cl  0.378  0.472  0.693
Cl  0.622  0.528  0.307
Cl  0.622  0.972  0.807
O  0.009  0.153  0.636
O  0.009  0.347  0.136
O  0.991  0.653  0.864
O  0.991  0.847  0.364

Properties
The space group is No. 14. Its crystal system is monoclinic. For the formation energy from the elements, the calculation gives -0.520 eV per atom. As for the total magnetic moment: 1.45 μB per cell.



(5)
Entry from Materials Project: crystalline Rb4SnTe4O2 at its relaxed geometry (PBE).

Cell: 10.116 10.116 15.265 Å, 123.60 123.60 44.33°
Fractional coordinates of all 22 atoms:
Rb  0.119  0.707  0.995
Rb  0.184  0.404  0.677
Rb  0.293  0.881  0.505
Rb  0.404  0.184  0.177
Rb  0.596  0.816  0.823
Rb  0.707  0.119  0.495
Rb  0.816  0.596  0.323
Rb  0.881  0.293  0.005
Sn  0.126  0.874  0.750
Sn  0.874  0.126  0.250
Te  0.045  0.228  0.774
Te  0.228  0.045  0.274
Te  0.243  0.616  0.561
Te  0.384  0.757  0.939
Te  0.616  0.243  0.061
Te  0.757  0.384  0.439
Te  0.772  0.955  0.726
Te  0.955  0.772  0.226
O  0.116  0.252  0.221
O  0.252  0.116  0.721
O  0.748  0.884  0.279
O  0.884  0.748  0.779

Properties
The space group is No. 15. Its crystal system is monoclinic. For the formation energy from the elements, the calculation gives -0.981 eV per atom. As for the total magnetic moment: 0.00 μB per cell.



(6)
Entry from Materials Project: crystalline Nd4Br9 at its relaxed geometry (PBE).

Cell: 7.655 7.156 29.379 Å, 90.00 90.42 90.00°
Fractional coordinates of all 52 atoms:
Nd  0.000  0.007  0.000
Nd  0.000  0.993  0.500
Nd  0.034  0.042  0.236
Nd  0.034  0.958  0.736
Nd  0.347  0.023  0.879
Nd  0.347  0.977  0.379
Nd  0.391  0.017  0.114
Nd  0.391  0.983  0.614
Nd  0.492  0.471  0.001
Nd  0.492  0.529  0.501
Nd  0.536  0.475  0.238
Nd  0.536  0.525  0.738
Nd  0.846  0.460  0.877
Nd  0.846  0.540  0.377
Nd  0.889  0.478  0.116
Nd  0.889  0.522  0.616
Br  0.031  0.187  0.409
Br  0.031  0.813  0.909
Br  0.034  0.133  0.602
Br  0.034  0.867  0.102
Br  0.077  0.217  0.818
Br  0.077  0.783  0.318
Br  0.165  0.315  0.936
Br  0.165  0.685  0.436
Br  0.188  0.307  0.057
Br  0.188  0.693  0.557
Br  0.221  0.328  0.178
Br  0.221  0.672  0.678
Br  0.297  0.244  0.298
Br  0.297  0.756  0.798
Br  0.353  0.167  0.706
Br  0.353  0.833  0.206
Br  0.361  0.130  0.513
Br  0.361  0.870  0.013
Br  0.528  0.337  0.410
Br  0.528  0.382  0.604
Br  0.528  0.618  0.104
Br  0.528  0.663  0.910
Br  0.576  0.261  0.818
Br  0.576  0.739  0.318
Br  0.668  0.168  0.937
Br  0.668  0.832  0.437
Br  0.698  0.180  0.058
Br  0.698  0.820  0.558
Br  0.713  0.178  0.179
Br  0.713  0.822  0.679
Br  0.798  0.271  0.298
Br  0.798  0.729  0.798
Br  0.850  0.381  0.513
Br  0.850  0.619  0.013
Br  0.856  0.323  0.706
Br  0.856  0.677  0.206

Properties
The space group is No. 7. Its crystal system is monoclinic. For the formation energy from the elements, the calculation gives -1.981 eV per atom. As for the total magnetic moment: 0.15 μB per cell.



(7)
Entry from Materials Project: crystalline CaP2H4O8 at its relaxed geometry (PBE).

Cell: 5.580 7.810 8.381 Å, 111.20 108.54 93.67°
Fractional coordinates of all 30 atoms:
Ca  0.192  0.318  0.420
Ca  0.808  0.682  0.580
P  0.173  0.732  0.313
P  0.478  0.745  0.843
P  0.522  0.255  0.157
P  0.827  0.268  0.687
H  0.000  0.500  0.000
H  0.151  0.144  0.781
H  0.244  0.982  0.001
H  0.405  0.678  0.062
H  0.500  0.000  0.500
H  0.595  0.322  0.938
H  0.756  0.018  0.999
H  0.849  0.856  0.219
O  0.026  0.903  0.316
O  0.044  0.604  0.375
O  0.170  0.630  0.115
O  0.224  0.815  0.816
O  0.286  0.101  0.119
O  0.443  0.286  0.970
O  0.455  0.831  0.444
O  0.485  0.578  0.681
O  0.515  0.422  0.319
O  0.545  0.169  0.556
O  0.557  0.714  0.030
O  0.714  0.899  0.881
O  0.776  0.185  0.184
O  0.830  0.370  0.885
O  0.956  0.396  0.625
O  0.974  0.097  0.684

Properties
The space group is No. 2. Its crystal system is triclinic. As for the offset from the most stable computed form: 0.000 eV/atom. For the formation energy from the elements, the calculation gives -2.316 eV per atom. As for the total magnetic moment: 0.00 μB per cell.



(8)
Entry from Materials Project: crystalline SiO2 at its relaxed geometry (PBE).

Cell: 7.570 7.570 17.316 Å, 90.00 90.00 139.19°
Fractional coordinates of all 36 atoms:
Si  0.029  0.971  0.591
Si  0.029  0.971  0.909
Si  0.242  0.758  0.554
Si  0.242  0.758  0.946
Si  0.429  0.571  0.658
Si  0.429  0.571  0.842
Si  0.571  0.429  0.158
Si  0.571  0.429  0.342
Si  0.758  0.242  0.054
Si  0.758  0.242  0.446
Si  0.971  0.029  0.091
Si  0.971  0.029  0.409
O  0.000  0.000  0.000
O  0.000  0.000  0.500
O  0.000  0.500  0.000
O  0.000  0.500  0.500
O  0.143  0.857  0.600
O  0.143  0.857  0.900
O  0.238  0.263  0.632
O  0.238  0.263  0.868
O  0.263  0.238  0.132
O  0.263  0.238  0.368
O  0.326  0.674  0.617
O  0.326  0.674  0.883
O  0.414  0.586  0.750
O  0.500  0.000  0.000
O  0.500  0.000  0.500
O  0.586  0.414  0.250
O  0.674  0.326  0.117
O  0.674  0.326  0.383
O  0.737  0.762  0.632
O  0.737  0.762  0.868
O  0.762  0.737  0.132
O  0.762  0.737  0.368
O  0.857  0.143  0.100
O  0.857  0.143  0.400

Properties
The space group is No. 63. Its crystal system is orthorhombic. For the formation energy from the elements, the calculation gives -3.256 eV per atom.



(9)
Entry from Materials Project: crystalline Y2Ge3 at its relaxed geometry (PBE).

Cell: 4.392 4.392 7.107 Å, 90.00 90.00 120.00°
Fractional coordinates of all 5 atoms:
Y  0.000  0.000  0.230
Y  0.000  0.000  0.770
Ge  0.333  0.667  0.500
Ge  0.667  0.333  0.000
Ge  0.667  0.333  0.500

Properties
The space group is No. 187. Its crystal system is hexagonal. For the formation energy from the elements, the calculation gives -0.498 eV per atom. As for the total magnetic moment: 0.00 μB per cell.



(10)
Entry from Materials Project: crystalline Dy5In3 at its relaxed geometry (PBE).

Cell: 9.196 9.196 9.196 Å, 96.10 96.10 141.96°
Fractional coordinates of all 16 atoms:
Dy  0.083  0.781  0.864
Dy  0.219  0.083  0.303
Dy  0.250  0.750  0.500
Dy  0.281  0.583  0.864
Dy  0.417  0.281  0.697
Dy  0.583  0.719  0.303
Dy  0.719  0.417  0.136
Dy  0.750  0.250  0.500
Dy  0.781  0.917  0.697
Dy  0.917  0.219  0.136
In  0.161  0.339  0.500
In  0.250  0.250  0.000
In  0.339  0.839  0.177
In  0.661  0.161  0.823
In  0.750  0.750  0.000
In  0.839  0.661  0.500

Properties
The space group is No. 140. Its crystal system is tetragonal. For the formation energy from the elements, the calculation gives -0.381 eV per atom.